PrFe5Sb15: relaxed, PBE-GGA.

Calculated values
**Total magnetization**: 0.0102 μB/atom
**Calculated volume**: 22.79 A^3/atom
**DFT formation energy**: -595 kJ/mol of formula units

The structure in CIF format:
```
data_PrFe5Sb15
_cell_length_a 12.9350
_cell_length_b 12.9350
_cell_length_c 39.6377
_cell_angle_alpha 90.00
_cell_angle_beta 90.00
_cell_angle_gamma 120.00
_symmetry_space_group_name_H-M 'R -3'
_symmetry_Int_Tables_number 148
_symmetry_space_group_name_Hall '-R 3'
loop_
_atom_site_label
_atom_site_fract_x
_atom_site_fract_y
_atom_site_fract_z
_atom_site_occupancy
Pr1 0.0000 0.0000 0.1000 1
Pr2 0.0000 0.0000 0.2997 1
Fe1 0.0000 0.0000 0.0000 1
Fe2 0.0000 0.0000 0.1999 1
Fe3 0.0000 0.0000 0.3991 1
Fe4 0.0000 0.5000 0.0000 1
Fe5 0.9998 0.4997 0.3999 1
Fe6 0.0032 0.5017 0.7997 1
Sb1 0.0024 0.8339 0.6336 1
Sb2 0.0027 0.8340 0.0336 1
Sb3 0.0026 0.8341 0.8336 1
Sb4 0.0032 0.8367 0.4347 1
Sb5 0.0035 0.8332 0.2333 1
Sb6 0.0542 0.4456 0.9435 1
Sb7 0.0558 0.4463 0.3438 1
Sb8 0.0558 0.4464 0.5439 1
Sb9 0.0559 0.4463 0.7438 1
Sb10 0.0567 0.2732 0.4774 1
```